DFT (r2SCAN) results for Cr3Si6N11 after structural relaxation.

abc: 9.749 9.749 4.773
angles: 90.00 90.00 90.00
Atoms (fractional coordinates):
N 0.285 0.595 0.177
Cr 0.788 0.712 0.939
N 0.215 0.095 0.177
Cr 0.288 0.788 0.939
N 0.680 0.575 0.677
N 0.820 0.075 0.677
N 0.925 0.820 0.677
Si 0.883 0.383 0.058
N 0.341 0.159 0.708
N 0.095 0.785 0.177
N 0.715 0.405 0.177
N 0.905 0.215 0.177
N 0.785 0.905 0.177
Cr 0.212 0.288 0.939
Si 0.083 0.797 0.530
N 0.425 0.680 0.677
Si 0.917 0.203 0.530
N 0.659 0.841 0.708
N 0.159 0.659 0.708
N 0.595 0.715 0.177
Si 0.117 0.617 0.058
N 0.320 0.425 0.677
N 0.841 0.341 0.708
Si 0.383 0.117 0.058
Cr 0.712 0.212 0.939
Si 0.203 0.083 0.530
N 0.075 0.180 0.677
N 0.575 0.320 0.677
N 0.000 0.500 0.107
Si 0.297 0.583 0.530
Si 0.617 0.883 0.058
N 0.180 0.925 0.677
Si 0.417 0.297 0.530
Si 0.703 0.417 0.530
Si 0.797 0.917 0.530
N 0.405 0.285 0.177
Cr 0.500 0.500 0.918
N 0.500 0.000 0.107
Si 0.583 0.703 0.530
Cr 0.000 0.000 0.918

SG   P4bm
DFT total energy   -10.693 eV per atom



DFT (r2SCAN) results for LaCd2 after structural relaxation.

abc: 5.082 5.082 3.608
angles: 90.00 90.00 120.00
Atoms (fractional coordinates):
Cd 0.667 0.333 0.500
Cd 0.333 0.667 0.500
La 0.000 0.000 0.000

SG   P6/mmm
DFT total energy   -23.740 eV per atom



DFT (r2SCAN) results for LiTm2Os after structural relaxation.

abc: 4.807 4.807 4.807
angles: 60.00 60.00 60.00
Atoms (fractional coordinates):
Li 0.250 0.250 0.250
Tm 0.000 0.000 0.000
Tm 0.500 0.500 0.500
Os 0.750 0.750 0.750

SG   Fm-3m
DFT total energy   -31.740 eV per atom



DFT (r2SCAN) results for Dy3Ge2Rh2 after structural relaxation.

abc: 5.542 7.773 13.219
angles: 90.00 90.00 90.00
Atoms (fractional coordinates):
Dy 0.630 0.238 0.750
Dy 0.370 0.738 0.750
Ge 0.870 0.613 0.250
Dy 0.146 0.103 0.600
Dy 0.146 0.103 0.900
Ge 0.130 0.387 0.750
Dy 0.630 0.262 0.250
Ge 0.662 0.250 0.000
Dy 0.146 0.397 0.100
Rh 0.626 0.543 0.092
Rh 0.626 0.543 0.408
Rh 0.374 0.457 0.908
Dy 0.854 0.897 0.400
Ge 0.338 0.750 0.500
Ge 0.338 0.750 0.000
Dy 0.854 0.603 0.600
Rh 0.374 0.043 0.408
Dy 0.146 0.397 0.400
Ge 0.662 0.250 0.500
Dy 0.370 0.762 0.250
Dy 0.854 0.603 0.900
Dy 0.854 0.897 0.100
Rh 0.374 0.043 0.092
Rh 0.626 0.957 0.592
Rh 0.626 0.957 0.908
Ge 0.870 0.887 0.750
Rh 0.374 0.457 0.592
Ge 0.130 0.113 0.250

SG   Pbcm
DFT total energy   -25.586 eV per atom



DFT (r2SCAN) results for LaDyMg2 after structural relaxation.

abc: 5.481 5.481 5.481
angles: 60.00 60.00 60.00
Atoms (fractional coordinates):
La 0.750 0.750 0.750
Dy 0.250 0.250 0.250
Mg 0.500 0.500 0.500
Mg 0.000 0.000 0.000

SG   Fm-3m
DFT total energy   -17.618 eV per atom



DFT (r2SCAN) results for Te3P2O11 after structural relaxation.

abc: 7.355 9.883 12.425
angles: 81.99 90.00 90.00
Atoms (fractional coordinates):
P 0.309 0.770 0.586
O 0.366 0.623 0.624
P 0.816 0.322 0.071
Te 0.274 0.125 0.359
P 0.316 0.178 0.929
O 0.300 0.276 0.256
O 0.388 0.013 0.256
P 0.191 0.270 0.586
O 0.112 0.513 0.256
O 0.055 0.047 0.229
O 0.700 0.724 0.744
Te 0.226 0.625 0.359
P 0.184 0.678 0.929
O 0.508 0.868 0.119
O 0.808 0.362 0.948
Te 0.800 0.027 0.237
O 0.252 0.289 0.469
O 0.945 0.953 0.771
O 0.840 0.185 0.338
O 0.492 0.132 0.881
O 0.344 0.612 0.873
O 0.866 0.877 0.376
O 0.634 0.377 0.376
O 0.470 0.873 0.594
O 0.200 0.776 0.256
O 0.992 0.368 0.119
P 0.684 0.822 0.071
Te 0.300 0.473 0.763
Te 0.250 0.940 0.149
Te 0.774 0.375 0.641
O 0.692 0.862 0.948
O 0.248 0.789 0.469
O 0.030 0.373 0.594
P 0.691 0.230 0.414
O 0.660 0.685 0.338
O 0.445 0.547 0.229
O 0.160 0.815 0.662
Te 0.250 0.440 0.149
Te 0.200 0.973 0.763
Te 0.700 0.527 0.237
O 0.134 0.123 0.624
O 0.156 0.112 0.873
Te 0.726 0.875 0.641
O 0.752 0.211 0.531
O 0.888 0.487 0.744
O 0.970 0.627 0.406
O 0.656 0.388 0.127
P 0.809 0.730 0.414
O 0.206 0.834 0.907
O 0.800 0.224 0.744
O 0.192 0.638 0.052
O 0.844 0.888 0.127
O 0.294 0.334 0.907
O 0.008 0.632 0.881
O 0.308 0.138 0.052
O 0.530 0.127 0.406
Te 0.750 0.560 0.851
O 0.340 0.315 0.662
Te 0.750 0.060 0.851
O 0.612 0.987 0.744
O 0.748 0.711 0.531
O 0.555 0.453 0.771
O 0.794 0.166 0.093
O 0.706 0.666 0.093

SG   P2_1/c
DFT total energy   -11.662 eV per atom



Number 1: calculated volume 453.6 Å³ per cell, formation enthalpy at 0 K -0.779 eV per atom, total moment 18.000 μB per cell. Number 2: calculated volume 80.7 Å³ per cell, formation enthalpy at 0 K -0.422 eV per atom, total moment 0.239 μB per cell. Number 3: calculated volume 78.5 Å³ per cell, formation enthalpy at 0 K -0.337 eV per atom, total moment 0.000 μB per cell. Number 4: calculated volume 569.4 Å³ per cell, formation enthalpy at 0 K -1.020 eV per atom, total moment 0.000 μB per cell. Number 5: calculated volume 116.4 Å³ per cell, formation enthalpy at 0 K -0.102 eV per atom, total moment 0.000 μB per cell. Number 6: calculated volume 894.3 Å³ per cell, formation enthalpy at 0 K -1.665 eV per atom, total moment 0.000 μB per cell.